Entry 1:
The following is a GGA-PBE calculation of an optimized crystal structure of YCuGe, from the Materials Project.

Values from the calculation:
The value obtained for the uncorrected energy is -17.14 eV per cell. The calculation puts the formation energy from the elements at -189 kJ/mol of formula units.

abc: 4.228 4.228 3.731
angles: 90.00 90.00 120.00
Element x y z (fractional)
Y 0.000 0.000 0.000
Cu 0.333 0.667 0.500
Ge 0.667 0.333 0.500



Entry 2:
The following is a GGA-PBE calculation of an optimized crystal structure of Cr3Fe3SiAs2, from the Materials Project.

Values from the calculation:
The value obtained for the spin magnetization is 6.31 μB/cell. The value obtained for the uncorrected energy is -70.68 eV per cell. The calculation puts the formation energy from the elements at -152 kJ/mol of formula units.

abc: 6.025 6.025 3.611
angles: 90.00 90.00 120.00
Element x y z (fractional)
Cr 0.000 0.591 0.000
Cr 0.409 0.409 0.000
Cr 0.591 0.000 0.000
Fe 0.000 0.243 0.500
Fe 0.243 0.000 0.500
Fe 0.757 0.757 0.500
Si 0.000 0.000 0.000
As 0.333 0.667 0.500
As 0.667 0.333 0.500



Entry 3:
The following is a GGA-PBE calculation of an optimized crystal structure of YMg14Mn, from the Materials Project.

Values from the calculation:
The value obtained for the spin magnetization is 4.64 μB/cell. The value obtained for the uncorrected energy is -37.08 eV per cell. The calculation puts the formation energy from the elements at 92 kJ/mol of formula units.

abc: 6.445 6.445 10.277
angles: 90.00 90.00 120.00
Element x y z (fractional)
Y 0.000 0.000 0.000
Mg 0.012 0.506 0.000
Mg 0.165 0.330 0.260
Mg 0.165 0.330 0.740
Mg 0.165 0.835 0.260
Mg 0.165 0.835 0.740
Mg 0.494 0.506 0.000
Mg 0.494 0.988 0.000
Mg 0.501 0.001 0.500
Mg 0.501 0.499 0.500
Mg 0.667 0.333 0.245
Mg 0.667 0.333 0.755
Mg 0.670 0.835 0.260
Mg 0.670 0.835 0.740
Mg 0.999 0.499 0.500
Mn 0.000 0.000 0.500